ErCuTe2 | PBE | optimized geometry

Geometry as POSCAR:
```
ErCuTe2
1.0
-2.177 -3.771 0.000
-4.355 0.000 0.000
0.000 0.000 -6.860
Er Cu Te
1 1 2
direct
0.000 0.000 0.989
0.667 0.667 0.361
0.667 0.667 0.746
0.333 0.333 0.262
```

Properties
magnetic moment = 0.000 Bohr magnetons per cell
energy relative to the elements = -103.40 kJ per mole of atoms